This record from the Materials Project describes an optimized crystal structure of Li3MnCo2O6. The functional is PBE with a Hubbard U.

Values from the calculation:
**Crystal system**: triclinic
**E_form**: -1.808 eV/atom

abc: 2.979 7.673 9.844
angles: 91.94 97.98 99.92
Fractional positions:
Li 0.000 0.000 0.000
Li 0.157 0.828 0.501
Li 0.326 0.672 0.999
Li 0.492 0.486 0.496
Li 0.660 0.330 0.995
Li 0.818 0.158 0.495
Mn 0.408 0.079 0.748
Mn 0.910 0.579 0.248
Co 0.087 0.416 0.747
Co 0.262 0.233 0.247
Co 0.556 0.925 0.248
Co 0.730 0.743 0.748
O 0.061 0.215 0.861
O 0.114 0.613 0.631
O 0.182 0.032 0.371
O 0.310 0.472 0.139
O 0.354 0.878 0.862
O 0.464 0.280 0.633
O 0.509 0.686 0.356
O 0.636 0.126 0.124
O 0.703 0.546 0.865
O 0.757 0.944 0.634
O 0.876 0.375 0.356
O 0.943 0.783 0.139